(1)
This record from the Materials Project database describes a geometry-optimized SmDyO3 structure. The functional is PBE.

Output
The value obtained for the formation energy is -3860.9 meV per atom.

Cell lengths 5.802, 6.059, 8.477 Å; angles 90.00, 90.00, 90.00 degrees
Sites, in units of the cell vectors:
1 Sm 0.987 0.051 0.250
2 Sm 0.487 0.449 0.750
3 Sm 0.513 0.551 0.250
4 Sm 0.013 0.949 0.750
5 Dy 0.500 0.000 0.000
6 Dy 0.500 0.000 0.500
7 Dy 0.000 0.500 0.000
8 Dy 0.000 0.500 0.500
9 O 0.641 0.074 0.750
10 O 0.181 0.184 0.573
11 O 0.181 0.184 0.927
12 O 0.681 0.316 0.427
13 O 0.681 0.316 0.073
14 O 0.141 0.426 0.250
15 O 0.859 0.574 0.750
16 O 0.319 0.684 0.927
17 O 0.319 0.684 0.573
18 O 0.819 0.816 0.073
19 O 0.819 0.816 0.427
20 O 0.359 0.926 0.250


(2)
This record from the Materials Project database describes a geometry-optimized NaB2HO4 structure. The functional is PBE.

Output
The value obtained for the formation energy is -2463.2 meV per atom.

Cell lengths 8.782, 10.576, 14.377 Å; angles 90.00, 90.00, 90.00 degrees
Sites, in units of the cell vectors:
1 Na 0.418 0.528 0.188
2 Na 0.918 0.972 0.812
3 Na 0.582 0.028 0.312
4 Na 0.082 0.472 0.688
5 Na 0.582 0.472 0.812
6 Na 0.082 0.028 0.188
7 Na 0.418 0.972 0.688
8 Na 0.918 0.528 0.312
9 Na 0.265 0.474 0.430
10 Na 0.765 0.026 0.570
11 Na 0.735 0.974 0.070
12 Na 0.235 0.526 0.930
13 Na 0.735 0.526 0.570
14 Na 0.235 0.974 0.430
15 Na 0.265 0.026 0.930
16 Na 0.765 0.474 0.070
17 B 0.080 0.264 0.337
18 B 0.580 0.236 0.663
19 B 0.920 0.764 0.163
20 B 0.420 0.736 0.837
21 B 0.920 0.736 0.663
22 B 0.420 0.764 0.337
23 B 0.080 0.236 0.837
24 B 0.580 0.264 0.163
25 B 0.901 0.107 0.386
26 B 0.401 0.393 0.614
27 B 0.099 0.607 0.114
28 B 0.599 0.893 0.886
29 B 0.099 0.893 0.614
30 B 0.599 0.607 0.386
31 B 0.901 0.393 0.886
32 B 0.401 0.107 0.114
33 B 0.830 0.258 0.260
34 B 0.330 0.242 0.740
35 B 0.170 0.758 0.240
36 B 0.670 0.742 0.760
37 B 0.170 0.742 0.740
38 B 0.670 0.758 0.260
39 B 0.830 0.242 0.760
40 B 0.330 0.258 0.240
41 B 0.953 0.289 0.490
42 B 0.453 0.211 0.510
43 B 0.047 0.789 0.010
44 B 0.547 0.711 0.990
45 B 0.047 0.711 0.510
46 B 0.547 0.789 0.490
47 B 0.953 0.211 0.990
48 B 0.453 0.289 0.010
49 H 0.933 0.920 0.419
50 H 0.433 0.580 0.581
51 H 0.067 0.420 0.081
52 H 0.567 0.080 0.919
53 H 0.067 0.080 0.581
54 H 0.567 0.420 0.419
55 H 0.933 0.580 0.919
56 H 0.433 0.920 0.081
57 H 0.850 0.299 0.608
58 H 0.350 0.201 0.392
59 H 0.150 0.799 0.892
60 H 0.650 0.701 0.108
61 H 0.150 0.701 0.392
62 H 0.650 0.799 0.608
63 H 0.850 0.201 0.108
64 H 0.350 0.299 0.892
65 O 0.971 0.314 0.266
66 O 0.471 0.186 0.734
67 O 0.029 0.814 0.234
68 O 0.529 0.686 0.766
69 O 0.029 0.686 0.734
70 O 0.529 0.814 0.266
71 O 0.971 0.186 0.766
72 O 0.471 0.314 0.234
73 O 0.239 0.297 0.313
74 O 0.739 0.203 0.687
75 O 0.761 0.797 0.187
76 O 0.261 0.703 0.813
77 O 0.761 0.703 0.687
78 O 0.261 0.797 0.313
79 O 0.239 0.203 0.813
80 O 0.739 0.297 0.187
81 O 0.057 0.127 0.350
82 O 0.557 0.373 0.650
83 O 0.943 0.627 0.150
84 O 0.443 0.873 0.850
85 O 0.943 0.873 0.650
86 O 0.443 0.627 0.350
87 O 0.057 0.373 0.850
88 O 0.557 0.127 0.150
89 O 0.049 0.339 0.425
90 O 0.549 0.161 0.575
91 O 0.951 0.839 0.075
92 O 0.451 0.661 0.925
93 O 0.951 0.661 0.575
94 O 0.451 0.839 0.425
95 O 0.049 0.161 0.925
96 O 0.549 0.339 0.075
97 O 0.787 0.162 0.319
98 O 0.287 0.338 0.681
99 O 0.213 0.662 0.181
100 O 0.713 0.838 0.819
101 O 0.213 0.838 0.681
102 O 0.713 0.662 0.319
103 O 0.787 0.338 0.819
104 O 0.287 0.162 0.181
105 O 0.887 0.173 0.479
106 O 0.387 0.327 0.521
107 O 0.113 0.673 0.021
108 O 0.613 0.827 0.979
109 O 0.113 0.827 0.521
110 O 0.613 0.673 0.479
111 O 0.887 0.327 0.979
112 O 0.387 0.173 0.021
113 O 0.852 0.976 0.400
114 O 0.352 0.524 0.600
115 O 0.148 0.476 0.100
116 O 0.648 0.024 0.900
117 O 0.148 0.024 0.600
118 O 0.648 0.476 0.400
119 O 0.852 0.524 0.900
120 O 0.352 0.976 0.100
121 O 0.919 0.355 0.572
122 O 0.419 0.145 0.428
123 O 0.081 0.855 0.928
124 O 0.581 0.645 0.072
125 O 0.081 0.645 0.428
126 O 0.581 0.855 0.572
127 O 0.919 0.145 0.072
128 O 0.419 0.355 0.928


(3)
This record from the Materials Project database describes a geometry-optimized Li2Mg structure. The functional is PBE.

Output
The value obtained for the formation energy is -31.9 meV per atom.

Cell lengths 5.275, 5.275, 4.997 Å; angles 90.00, 90.00, 120.12 degrees
Sites, in units of the cell vectors:
1 Li 0.999 0.333 0.750
2 Li 0.333 0.999 0.750
3 Li 0.667 0.001 0.250
4 Li 0.001 0.667 0.250
5 Mg 0.669 0.669 0.750
6 Mg 0.331 0.331 0.250


(4)
This record from the Materials Project database describes a geometry-optimized FeSbSe structure. The functional is PBE.

Output
The value obtained for the formation energy is -429.2 meV per atom.

Cell lengths 6.131, 6.254, 6.261 Å; angles 113.72, 90.00, 90.00 degrees
Sites, in units of the cell vectors:
1 Fe 0.508 0.708 0.202
2 Fe 0.008 0.292 0.298
3 Fe 0.492 0.292 0.798
4 Fe 0.992 0.708 0.702
5 Sb 0.138 0.857 0.125
6 Sb 0.638 0.143 0.375
7 Sb 0.862 0.143 0.875
8 Sb 0.362 0.857 0.625
9 Se 0.859 0.646 0.329
10 Se 0.359 0.354 0.171
11 Se 0.141 0.354 0.671
12 Se 0.641 0.646 0.829